HfMg | PBE | optimized geometry

abc: 3.032 3.032 11.424
angles: 90.00 90.00 120.00
Fractional positions:
Hf (0.333, 0.667, 0.000)
Hf (0.667, 0.333, 0.500)
Mg (0.333, 0.667, 0.731)
Mg (0.667, 0.333, 0.231)

Properties
Volume ... 22.73 Å³/atom
Total magnetization ... 0.002 μB per cell
E ... -5.484 eV/atom
Crystal system ... hexagonal

NaH5CO4 | PBE | optimized geometry

abc: 8.149 8.149 8.822
angles: 90.00 90.00 127.86
Fractional positions:
Na (0.242, 0.242, 0.000)
Na (0.258, 0.258, 0.500)
Na (0.742, 0.742, 0.500)
Na (0.758, 0.758, 0.000)
H (0.028, 0.292, 0.701)
H (0.085, 0.915, 0.785)
H (0.160, 0.840, 0.909)
H (0.208, 0.472, 0.799)
H (0.230, 0.770, 0.636)
H (0.270, 0.730, 0.136)
H (0.292, 0.028, 0.299)
H (0.340, 0.660, 0.409)
H (0.415, 0.585, 0.285)
H (0.472, 0.208, 0.201)
H (0.528, 0.792, 0.799)
H (0.585, 0.415, 0.715)
H (0.660, 0.340, 0.591)
H (0.708, 0.972, 0.701)
H (0.730, 0.270, 0.864)
H (0.770, 0.230, 0.364)
H (0.792, 0.528, 0.201)
H (0.840, 0.160, 0.091)
H (0.915, 0.085, 0.215)
H (0.972, 0.708, 0.299)
C (0.181, 0.819, 0.540)
C (0.319, 0.681, 0.040)
C (0.681, 0.319, 0.960)
C (0.819, 0.181, 0.460)
O (0.093, 0.907, 0.896)
O (0.097, 0.903, 0.572)
O (0.160, 0.340, 0.750)
O (0.214, 0.786, 0.406)
O (0.286, 0.714, 0.906)
O (0.340, 0.160, 0.250)
O (0.403, 0.597, 0.072)
O (0.407, 0.593, 0.396)
O (0.593, 0.407, 0.604)
O (0.597, 0.403, 0.928)
O (0.660, 0.840, 0.750)
O (0.714, 0.286, 0.094)
O (0.786, 0.214, 0.594)
O (0.840, 0.660, 0.250)
O (0.903, 0.097, 0.428)
O (0.907, 0.093, 0.104)

Properties
Volume ... 10.51 Å³/atom
Total magnetization ... 0.001 μB per cell
E ... -5.439 eV/atom
Crystal system ... orthorhombic

ZnI2 | PBE | optimized geometry

abc: 4.106 4.106 21.399
angles: 90.00 90.00 120.00
Fractional positions:
Zn (0.000, 0.000, 0.000)
Zn (0.333, 0.667, 0.667)
Zn (0.667, 0.333, 0.333)
I (0.000, 0.000, 0.257)
I (0.000, 0.000, 0.743)
I (0.333, 0.667, 0.410)
I (0.333, 0.667, 0.924)
I (0.667, 0.333, 0.076)
I (0.667, 0.333, 0.590)

Properties
Volume ... 34.72 Å³/atom
Total magnetization ... 0.005 μB per cell
E ... -1.914 eV/atom
Crystal system ... trigonal

TiNbN2 | PBE | optimized geometry

abc: 3.065 3.065 15.226
angles: 90.00 90.00 120.00
Fractional positions:
Ti (0.000, 0.000, 0.000)
Ti (0.333, 0.667, 0.667)
Ti (0.667, 0.333, 0.333)
Nb (0.000, 0.000, 0.500)
Nb (0.333, 0.667, 0.167)
Nb (0.667, 0.333, 0.833)
N (0.000, 0.000, 0.256)
N (0.000, 0.000, 0.744)
N (0.333, 0.667, 0.410)
N (0.333, 0.667, 0.923)
N (0.667, 0.333, 0.077)
N (0.667, 0.333, 0.590)

Properties
Volume ... 10.32 Å³/atom
Total magnetization ... 0.000 μB per cell
E ... -9.974 eV/atom
Crystal system ... trigonal

Zr5SiPb3 | PBE | optimized geometry

abc: 8.922 8.922 6.086
angles: 90.00 90.00 120.00
Fractional positions:
Zr (0.000, 0.253, 0.250)
Zr (0.000, 0.747, 0.750)
Zr (0.253, 0.000, 0.250)
Zr (0.253, 0.253, 0.750)
Zr (0.333, 0.667, 0.000)
Zr (0.333, 0.667, 0.500)
Zr (0.667, 0.333, 0.000)
Zr (0.667, 0.333, 0.500)
Zr (0.747, 0.000, 0.750)
Zr (0.747, 0.747, 0.250)
Si (0.000, 0.000, 0.000)
Si (0.000, 0.000, 0.500)
Pb (0.000, 0.395, 0.750)
Pb (0.000, 0.605, 0.250)
Pb (0.395, 0.000, 0.750)
Pb (0.395, 0.395, 0.250)
Pb (0.605, 0.000, 0.250)
Pb (0.605, 0.605, 0.750)

Properties
Volume ... 23.31 Å³/atom
E ... -7.039 eV/atom
Crystal system ... hexagonal

Li13Ti22O48 | PBE | optimized geometry

abc: 15.797 15.797 10.342
angles: 109.07 109.07 21.80
Fractional positions:
Li (0.000, 0.000, 0.000)
Li (0.022, 0.022, 0.354)
Li (0.043, 0.043, 0.708)
Li (0.168, 0.168, 0.831)
Li (0.210, 0.210, 0.544)
Li (0.271, 0.271, 0.104)
Li (0.375, 0.375, 0.376)
Li (0.500, 0.500, 0.497)
Li (0.543, 0.543, 0.211)
Li (0.668, 0.668, 0.333)
Li (0.710, 0.710, 0.045)
Li (0.834, 0.834, 0.164)
Li (0.875, 0.875, 0.876)
Ti (0.027, 0.517, 0.350)
Ti (0.029, 0.515, 0.860)
Ti (0.103, 0.103, 0.271)
Ti (0.186, 0.695, 0.191)
Ti (0.190, 0.190, 0.183)
Ti (0.190, 0.685, 0.686)
Ti (0.348, 0.857, 0.516)
Ti (0.353, 0.353, 0.026)
Ti (0.356, 0.854, 0.023)
Ti (0.436, 0.436, 0.933)
Ti (0.515, 0.029, 0.860)
Ti (0.517, 0.027, 0.350)
Ti (0.521, 0.521, 0.853)
Ti (0.606, 0.606, 0.773)
Ti (0.685, 0.190, 0.686)
Ti (0.688, 0.688, 0.684)
Ti (0.695, 0.186, 0.191)
Ti (0.772, 0.772, 0.603)
Ti (0.854, 0.356, 0.023)
Ti (0.854, 0.854, 0.524)
Ti (0.857, 0.348, 0.516)
Ti (0.940, 0.940, 0.438)
O (0.028, 0.593, 0.548)
O (0.069, 0.069, 0.069)
O (0.069, 0.069, 0.557)
O (0.079, 0.548, 0.045)
O (0.120, 0.677, 0.490)
O (0.140, 0.140, 0.473)
O (0.145, 0.145, 0.993)
O (0.178, 0.620, 0.990)
O (0.207, 0.741, 0.383)
O (0.232, 0.232, 0.381)
O (0.235, 0.235, 0.889)
O (0.254, 0.702, 0.886)
O (0.302, 0.836, 0.325)
O (0.307, 0.307, 0.318)
O (0.310, 0.310, 0.831)
O (0.342, 0.789, 0.823)
O (0.365, 0.922, 0.217)
O (0.398, 0.398, 0.212)
O (0.404, 0.404, 0.736)
O (0.422, 0.867, 0.718)
O (0.462, 0.997, 0.163)
O (0.474, 0.474, 0.142)
O (0.478, 0.478, 0.660)
O (0.509, 0.955, 0.656)
O (0.548, 0.079, 0.045)
O (0.565, 0.565, 0.048)
O (0.569, 0.569, 0.567)
O (0.593, 0.028, 0.548)
O (0.620, 0.178, 0.990)
O (0.640, 0.640, 0.973)
O (0.645, 0.645, 0.496)
O (0.677, 0.120, 0.490)
O (0.702, 0.254, 0.886)
O (0.732, 0.732, 0.881)
O (0.736, 0.736, 0.404)
O (0.741, 0.207, 0.383)
O (0.789, 0.342, 0.823)
O (0.806, 0.806, 0.803)
O (0.811, 0.811, 0.324)
O (0.836, 0.302, 0.325)
O (0.867, 0.422, 0.718)
O (0.899, 0.899, 0.715)
O (0.903, 0.903, 0.234)
O (0.922, 0.365, 0.217)
O (0.955, 0.509, 0.656)
O (0.974, 0.974, 0.151)
O (0.974, 0.974, 0.638)
O (0.997, 0.462, 0.163)

Properties
Volume ... 10.89 Å³/atom
Total magnetization ... 0.248 μB per cell
E ... -8.094 eV/atom
Crystal system ... monoclinic

no.,energy relative to the elements (eV per atom)
1,0.2945
2,-1.3878
3,-0.7308
4,-1.4868
5,-0.4501
6,-3.2384